This record from the Materials Project describes a geometry-optimized Li9Mn2Co5O16 structure. The functional is GGA+U.

## Properties
Magnetic moment, μB per cell: 14.0
Density, g/cm3: 4.12
ΔH_f (0 K), eV/atom: -1.78

abc: 3.008 5.016 19.355
angles: 92.79 91.59 91.73
Atoms (fractional coordinates):
O  0.539  0.052  0.189
O  0.464  0.447  0.308
O  0.990  0.562  0.192
O  0.999  0.775  0.945
O  0.486  0.335  0.947
O  0.010  0.438  0.808
O  0.001  0.225  0.055
O  0.536  0.553  0.692
O  0.008  0.944  0.307
O  0.992  0.056  0.693
O  0.508  0.196  0.556
O  0.958  0.692  0.557
O  0.042  0.308  0.443
O  0.514  0.665  0.053
O  0.492  0.804  0.444
O  0.461  0.948  0.811
Co  0.499  0.250  0.752
Co  0.501  0.750  0.248
Co  0.000  0.000  0.500
Co  0.000  0.500  0.000
Co  0.500  0.500  0.500
Li  0.001  0.625  0.376
Li  0.500  0.000  0.000
Li  0.507  0.875  0.625
Li  0.002  0.881  0.120
Li  0.999  0.375  0.624
Li  0.493  0.125  0.375
Li  0.998  0.119  0.880
Li  0.481  0.626  0.881
Li  0.519  0.374  0.119
Mn  0.999  0.749  0.752
Mn  0.001  0.251  0.248

***

This record from the Materials Project describes a geometry-optimized MgCu3Mo4O12 structure. The functional is GGA+U.

## Properties
Magnetic moment, μB per cell: 5.0
Density, g/cm3: 5.54
ΔH_f (0 K), eV/atom: -1.62

abc: 6.612 6.564 6.925
angles: 110.38 108.15 107.84
Atoms (fractional coordinates):
O  0.667  0.482  0.792
O  0.673  0.854  0.176
O  0.806  0.292  0.112
O  0.497  0.804  0.660
O  0.165  0.295  0.470
O  0.483  0.167  0.293
O  0.822  0.681  0.492
O  0.320  0.494  0.169
O  0.115  0.797  0.275
O  0.312  0.124  0.788
O  0.188  0.688  0.862
O  0.868  0.178  0.681
Mo  0.998  0.491  0.985
Mo  0.493  0.483  0.477
Mo  0.995  0.987  0.478
Mo  0.494  0.989  0.986
Cu  0.564  0.134  0.697
Cu  0.493  0.491  0.981
Cu  0.995  0.489  0.483
Mg  0.453  0.861  0.321

***

This record from the Materials Project describes a geometry-optimized Li9Mn2Co5O16 structure. The functional is GGA+U.

## Properties
Magnetic moment, μB per cell: 15.7
Density, g/cm3: 4.08
ΔH_f (0 K), eV/atom: -1.74

abc: 2.997 2.997 39.159
angles: 89.77 89.77 56.88
Atoms (fractional coordinates):
Co  0.624  0.624  0.874
Co  0.375  0.375  0.125
Co  0.874  0.874  0.626
Co  0.248  0.248  0.750
Co  0.126  0.126  0.375
Mn  0.000  0.000  0.000
Mn  0.751  0.751  0.250
O  0.262  0.262  0.847
O  0.632  0.632  0.971
O  0.887  0.887  0.723
O  0.214  0.214  0.655
O  0.846  0.846  0.532
O  0.155  0.155  0.468
O  0.988  0.988  0.902
O  0.540  0.540  0.598
O  0.738  0.738  0.153
O  0.466  0.466  0.402
O  0.116  0.116  0.279
O  0.613  0.613  0.778
O  0.783  0.783  0.346
O  0.011  0.011  0.097
O  0.383  0.383  0.220
O  0.369  0.369  0.030
Li  0.179  0.179  0.562
Li  0.561  0.561  0.687
Li  0.499  0.499  0.500
Li  0.440  0.440  0.314
Li  0.310  0.310  0.936
Li  0.938  0.938  0.812
Li  0.059  0.059  0.186
Li  0.691  0.691  0.064
Li  0.821  0.821  0.439